First-principles (PBE-GGA) data for crystalline ErPaO4 at its relaxed geometry, as listed in the Materials Project.

a = 3.798 Å, b = 3.798 Å, c = 5.359 Å
α = 90.00°, β = 90.00°, γ = 90.00°
Fractional positions:
1 Er 0.000 0.000 0.000
2 Pa 0.500 0.500 0.500
3 O 0.000 0.500 0.258
4 O 0.000 0.500 0.742
5 O 0.500 0.000 0.258
6 O 0.500 0.000 0.742

Crystal system = tetragonal
Formation enthalpy at 0 K = -4.1992 eV/atom